(1)
Ba6Si6CN14: relaxed, PBE-GGA.

Cell: 16.5427 16.5427 5.5417 Å, 90.00 90.00 120.00°
Positions (direct):
Ba  0.5115  0.6833  0.5000
Ba  0.3167  0.8282  0.5000
Ba  0.1718  0.4885  0.5000
Ba  0.4899  0.1378  0.5000
Ba  0.8622  0.3521  0.5000
Ba  0.6479  0.5101  0.5000
Ba  0.5241  0.8405  0.0000
Ba  0.1595  0.6835  0.0000
Ba  0.3165  0.4759  0.0000
Ba  0.6528  0.1618  0.0000
Ba  0.8382  0.4910  0.0000
Ba  0.5090  0.3472  0.0000
Ba  0.8403  0.8278  0.5000
Ba  0.1722  0.0125  0.5000
Ba  0.9875  0.1597  0.5000
Ba  0.8244  0.0193  0.0000
Ba  0.9807  0.8051  0.0000
Ba  0.1949  0.1756  0.0000
Si  0.5505  0.9784  0.5000
Si  0.0216  0.5721  0.5000
Si  0.4279  0.4495  0.5000
Si  0.3547  0.1162  0.0000
Si  0.8838  0.2385  0.0000
Si  0.7615  0.6453  0.0000
Si  0.3552  0.2391  0.5000
Si  0.7609  0.1161  0.5000
Si  0.8839  0.6448  0.5000
Si  0.4282  0.9787  0.0000
Si  0.0213  0.4494  0.0000
Si  0.5506  0.5718  0.0000
Si  0.6872  0.9045  0.5000
Si  0.0955  0.7828  0.5000
Si  0.2172  0.3128  0.5000
Si  0.6886  0.7825  0.0000
Si  0.2175  0.9061  0.0000
Si  0.0939  0.3114  0.0000
C  0.0000  0.0000  0.0000
C  0.3333  0.6667  0.0000
C  0.6667  0.3333  0.5000
N  0.4443  0.0909  0.0000
N  0.9091  0.3534  0.0000
N  0.6466  0.5557  0.0000
N  0.6667  0.3333  0.2752
N  0.6667  0.3333  0.7248
N  0.6458  0.0914  0.5000
N  0.9086  0.5543  0.5000
N  0.4457  0.3542  0.5000
N  0.5753  0.8885  0.5000
N  0.1115  0.6868  0.5000
N  0.3132  0.4247  0.5000
N  0.7006  0.8502  0.2495
N  0.1498  0.8504  0.2495
N  0.7006  0.8502  0.7505
N  0.1496  0.2994  0.2495
N  0.1498  0.8504  0.7505
N  0.1496  0.2994  0.7505
N  0.3673  0.1848  0.2485
N  0.8152  0.1826  0.2485
N  0.3673  0.1848  0.7515
N  0.8174  0.6327  0.2485
N  0.8152  0.1826  0.7515
N  0.8174  0.6327  0.7515
N  0.3333  0.6667  0.2249
N  0.3333  0.6667  0.7751
N  0.0000  0.0000  0.2249
N  0.0000  0.0000  0.7751
N  0.7764  0.0196  0.5000
N  0.9804  0.7567  0.5000
N  0.2433  0.2236  0.5000
N  0.5759  0.6869  0.0000
N  0.3131  0.8890  0.0000
N  0.1110  0.4241  0.0000
N  0.4827  0.9661  0.2506
N  0.0339  0.5166  0.2506
N  0.4827  0.9661  0.7494
N  0.4834  0.5173  0.2506
N  0.0339  0.5166  0.7494
N  0.4834  0.5173  0.7494
N  0.7787  0.7578  0.0000
N  0.2422  0.0210  0.0000
N  0.9790  0.2213  0.0000

**Crystal system**: hexagonal
**Formation enthalpy at 0 K**: -1200.8 meV/atom

***

(2)
BaNa6ThC6O24: relaxed, PBE-GGA.

Cell: 8.5236 8.5236 8.5236 Å, 109.10 109.10 109.10°
Positions (direct):
Ba  0.5000  0.5000  0.5000
Na  0.9501  0.1963  0.4633
Na  0.1963  0.4633  0.9501
Na  0.4633  0.9501  0.1963
Na  0.0499  0.8037  0.5367
Na  0.8037  0.5367  0.0499
Na  0.5367  0.0499  0.8037
Th  0.0000  0.0000  0.0000
C  0.0154  0.3734  0.2153
C  0.3734  0.2153  0.0154
C  0.2153  0.0154  0.3734
C  0.9846  0.6266  0.7847
C  0.6266  0.7847  0.9846
C  0.7847  0.9846  0.6266
O  0.2981  0.0317  0.9368
O  0.0317  0.9368  0.2981
O  0.9368  0.2981  0.0317
O  0.7019  0.9683  0.0632
O  0.9683  0.0632  0.7019
O  0.0632  0.7019  0.9683
O  0.2894  0.2934  0.0901
O  0.2934  0.0901  0.2894
O  0.0901  0.2894  0.2934
O  0.7106  0.7066  0.9099
O  0.7066  0.9099  0.7106
O  0.9099  0.7106  0.7066
O  0.9827  0.4738  0.6857
O  0.4738  0.6857  0.9827
O  0.6857  0.9827  0.4738
O  0.0173  0.5262  0.3143
O  0.5262  0.3143  0.0173
O  0.3143  0.0173  0.5262
O  0.2740  0.6714  0.6027
O  0.6714  0.6027  0.2740
O  0.6027  0.2740  0.6714
O  0.7260  0.3286  0.3973
O  0.3286  0.3973  0.7260
O  0.3973  0.7260  0.3286

**Crystal system**: trigonal
**Formation enthalpy at 0 K**: -1716.8 meV/atom

***

(3)
BaC4O4: relaxed, PBE-GGA.

Cell: 7.7609 7.7609 7.7609 Å, 130.78 130.78 72.16°
Positions (direct):
Ba  0.7500  0.7500  0.0000
Ba  0.2500  0.2500  0.0000
C  0.6392  0.9783  0.5000
C  0.3608  0.0217  0.5000
C  0.0217  0.5217  0.6609
C  0.9783  0.4783  0.3391
C  0.1392  0.6392  0.6609
C  0.4783  0.1392  0.5000
C  0.5217  0.8608  0.5000
C  0.8608  0.3608  0.3391
O  0.1916  0.0468  0.5000
O  0.8084  0.9532  0.5000
O  0.0468  0.5468  0.8552
O  0.9532  0.4532  0.1448
O  0.3084  0.8084  0.8552
O  0.4532  0.3084  0.5000
O  0.5468  0.6916  0.5000
O  0.6916  0.1916  0.1448

**Crystal system**: tetragonal
**Formation enthalpy at 0 K**: -1495.9 meV/atom

***

(4)
BaCO4: relaxed, PBE-GGA.

Cell: 5.4169 7.1417 8.8299 Å, 90.00 90.00 90.00°
Positions (direct):
Ba  0.2500  0.6581  0.1859
Ba  0.7500  0.3419  0.8141
Ba  0.7500  0.1581  0.3141
Ba  0.2500  0.8419  0.6859
C  0.2500  0.2017  0.0604
C  0.7500  0.7983  0.9396
C  0.7500  0.7017  0.4396
C  0.2500  0.2983  0.5604
O  0.2500  0.3716  0.4156
O  0.7500  0.6284  0.5844
O  0.7500  0.8716  0.0844
O  0.2500  0.1284  0.9156
O  0.0393  0.3075  0.0796
O  0.9607  0.6925  0.9204
O  0.9607  0.8075  0.4204
O  0.5393  0.6925  0.9204
O  0.0393  0.1925  0.5796
O  0.4607  0.3075  0.0796
O  0.4607  0.1925  0.5796
O  0.5393  0.8075  0.4204
O  0.2500  0.0547  0.1618
O  0.7500  0.9453  0.8382
O  0.7500  0.5547  0.3382
O  0.2500  0.4453  0.6618

**Crystal system**: orthorhombic
**Formation enthalpy at 0 K**: -1948.8 meV/atom

***

VASP energy (eV/atom)
-7.310, -6.320, -7.705, -6.647
Theoretical density (g/cm3)
4.55, 3.31, 3.16, 4.15
Total moment (μB per formula unit)
0.2, 12.0, 0.0, 2.0